Record 1
A plane-wave DFT calculation with GGA-PBE was carried out for a geometry-optimized PrB6 structure. Values from VASP.

Quantum ESPRESSO input file:
```
&SYSTEM
  ibrav = 0, nat = 7, ntyp = 2
/
ATOMIC_SPECIES
Pr 140.91 Pr.upf
B 10.81 B.upf
CELL_PARAMETERS angstrom
4.145 0.000 0.000
0.000 4.145 0.000
0.000 0.000 4.145
ATOMIC_POSITIONS crystal
Pr 0.000 0.000 0.000
B 0.200 0.500 0.500
B 0.500 0.200 0.500
B 0.500 0.500 0.200
B 0.500 0.500 0.800
B 0.500 0.800 0.500
B 0.800 0.500 0.500
```

Results
final energy: -6.89 eV/atom
calculated formation energy: -483 meV per atom
SG: Pm-3m, No. 221

---

Record 2
A plane-wave DFT calculation with GGA-PBE was carried out for a geometry-optimized PrB3 structure. Values from VASP.

Quantum ESPRESSO input file:
```
&SYSTEM
  ibrav = 0, nat = 8, ntyp = 2
/
ATOMIC_SPECIES
Pr 140.91 Pr.upf
B 10.81 B.upf
CELL_PARAMETERS angstrom
5.689 0.000 0.000
-2.845 4.927 0.000
0.000 0.000 3.463
ATOMIC_POSITIONS crystal
Pr 0.333 0.667 0.250
Pr 0.667 0.333 0.750
B 0.105 0.211 0.750
B 0.105 0.895 0.750
B 0.211 0.105 0.250
B 0.789 0.895 0.750
B 0.895 0.105 0.250
B 0.895 0.789 0.250
```

Results
final energy: -6.24 eV/atom
calculated formation energy: -32 meV per atom
total magnetization: 0.000 μB per cell
SG: P6_3/mmc, No. 194

---

Record 3
A plane-wave DFT calculation with GGA-PBE was carried out for a geometry-optimized PrBPt3 structure. Values from VASP.

Quantum ESPRESSO input file:
```
&SYSTEM
  ibrav = 0, nat = 5, ntyp = 3
/
ATOMIC_SPECIES
Pr 140.91 Pr.upf
B 10.81 B.upf
Pt 195.08 Pt.upf
CELL_PARAMETERS angstrom
4.064 0.000 0.000
0.000 4.064 0.000
0.000 0.000 5.111
ATOMIC_POSITIONS crystal
Pr 0.000 0.000 0.000
B 0.500 0.500 0.700
Pt 0.000 0.500 0.516
Pt 0.500 0.000 0.516
Pt 0.500 0.500 0.113
```

Results
final energy: -6.78 eV/atom
calculated formation energy: -850 meV per atom
SG: P4mm, No. 99

---

Question: Which of these has the lowest final energy?
Answer: PrB6